# 1
Density functional theory data (PBE) for an optimized crystal structure of Rb8AlAu3O4. Values from VASP.

```
&SYSTEM
  ibrav = 0, nat = 64, ntyp = 4
/
ATOMIC_SPECIES
Rb 85.47 Rb.upf
Al 26.98 Al.upf
Au 196.97 Au.upf
O 16.00 O.upf
CELL_PARAMETERS angstrom
10.612 0.000 0.000
0.000 13.155 0.000
0.000 0.000 13.490
ATOMIC_POSITIONS angstrom
Rb 0.144 3.262 1.867
Rb 0.249 7.210 13.290
Rb 1.035 12.549 0.133
Rb 1.225 3.475 11.435
Rb 1.622 4.048 7.571
Rb 1.681 6.948 3.547
Rb 1.893 12.633 3.601
Rb 2.458 9.839 11.045
Rb 2.848 3.316 4.300
Rb 3.412 0.523 10.346
Rb 3.625 6.207 10.292
Rb 3.684 9.107 0.825
Rb 4.081 9.680 4.690
Rb 4.271 0.606 6.878
Rb 5.057 5.945 6.544
Rb 5.162 9.893 8.612
Rb 5.450 3.316 11.624
Rb 5.555 12.523 0.201
Rb 6.341 7.184 13.357
Rb 6.531 3.102 2.056
Rb 6.928 2.529 5.920
Rb 6.987 12.784 9.944
Rb 7.199 7.100 9.889
Rb 7.764 9.893 2.445
Rb 8.154 3.262 9.191
Rb 8.718 6.055 3.144
Rb 8.931 0.371 3.199
Rb 8.990 10.626 12.665
Rb 9.387 10.053 8.801
Rb 9.577 5.971 6.612
Rb 10.363 0.632 6.946
Rb 10.468 9.840 4.879
Al 0.580 9.807 1.862
Al 4.726 3.348 8.607
Al 5.886 9.926 11.629
Al 10.032 3.229 4.884
Au 0.264 6.904 9.650
Au 2.009 8.058 7.470
Au 2.066 11.031 7.389
Au 3.240 2.124 0.644
Au 3.297 5.097 0.725
Au 5.042 6.252 2.905
Au 5.569 12.829 3.840
Au 7.315 11.675 6.020
Au 7.371 8.701 6.101
Au 8.546 4.454 12.846
Au 8.603 1.481 12.766
Au 10.348 0.326 10.586
O 0.352 4.743 4.524
O 0.464 1.784 4.502
O 1.099 9.799 0.118
O 2.013 9.784 2.982
O 3.293 3.371 9.727
O 4.207 3.357 6.863
O 4.842 11.372 11.248
O 4.954 8.412 11.269
O 5.657 1.835 8.966
O 5.770 4.794 8.988
O 6.405 9.934 13.373
O 7.318 9.949 10.508
O 8.599 3.206 3.763
O 9.513 3.221 6.627
O 10.147 8.361 2.243
O 10.260 11.321 2.221
```

- Spin magnetization: 0.000 μB/cell
- Calculated density: 4.817 g/cm³
- Symmetry: P2_12_12_1, No. 19
- Energy relative to the elements: -1310.9 meV/atom

# 2
Density functional theory data (PBE) for an optimized crystal structure of ScAlAu. Values from VASP.

```
&SYSTEM
  ibrav = 0, nat = 18, ntyp = 3
/
ATOMIC_SPECIES
Sc 44.96 Sc.upf
Al 26.98 Al.upf
Au 196.97 Au.upf
CELL_PARAMETERS angstrom
7.245 0.000 0.000
-3.623 6.274 0.000
0.000 0.000 7.472
ATOMIC_POSITIONS angstrom
Sc -2.086 3.791 1.868
Sc 1.383 2.573 1.868
Sc 1.537 2.484 5.604
Sc 0.703 6.185 1.868
Sc 4.326 0.089 5.604
Sc 5.005 3.702 5.604
Al -0.942 1.632 0.000
Al -0.942 1.632 3.736
Al 1.884 0.000 0.000
Al 1.884 0.000 3.736
Al 2.681 4.643 0.000
Al 2.681 4.643 3.736
Au 0.000 0.000 1.868
Au 0.000 0.000 5.604
Au 0.000 4.183 3.881
Au 0.000 4.183 7.326
Au 3.623 2.091 0.146
Au 3.623 2.091 3.590
```

- Spin magnetization: 0.000 μB/cell
- Calculated density: 7.888 g/cm³
- Symmetry: P-62c, No. 190
- Energy relative to the elements: -760.5 meV/atom

# 3
Density functional theory data (PBE) for an optimized crystal structure of SmAl8SiAu4. Values from VASP.

```
&SYSTEM
  ibrav = 0, nat = 28, ntyp = 4
/
ATOMIC_SPECIES
Sm 150.36 Sm.upf
Al 26.98 Al.upf
Si 28.09 Si.upf
Au 196.97 Au.upf
CELL_PARAMETERS angstrom
-3.042 3.042 14.214
3.042 -3.042 14.214
3.042 3.042 -14.214
ATOMIC_POSITIONS angstrom
Sm 3.042 0.000 7.107
Sm 0.000 3.042 7.107
Al 1.515 1.515 -4.466
Al 1.527 -1.527 9.748
Al 1.521 1.521 -1.510
Al 1.521 -1.521 12.704
Al 1.521 1.521 1.510
Al 1.521 -1.521 15.723
Al 1.515 1.515 4.466
Al 1.527 -1.527 18.680
Al -1.527 1.527 9.748
Al 1.527 1.527 9.748
Al -1.521 1.521 12.704
Al 1.521 1.521 12.704
Al 1.521 4.564 1.510
Al 1.521 1.521 15.723
Al -1.527 1.527 18.680
Al 1.527 1.527 18.680
Si 0.000 0.000 5.878
Si 0.000 0.000 22.549
Au 0.000 0.000 0.000
Au 3.042 0.000 2.993
Au 0.000 0.000 8.330
Au 3.042 0.000 11.221
Au 0.000 0.000 14.214
Au 0.000 3.042 2.993
Au 0.000 0.000 20.097
Au 0.000 3.042 11.221
```

- Calculated density: 7.460 g/cm³
- Symmetry: I4/mmm, No. 139
- Energy relative to the elements: -518.0 meV/atom

# 4
Density functional theory data (PBE) for an optimized crystal structure of Tb2Al6Si4Au. Values from VASP.

```
&SYSTEM
  ibrav = 0, nat = 13, ntyp = 4
/
ATOMIC_SPECIES
Tb 158.93 Tb.upf
Al 26.98 Al.upf
Si 28.09 Si.upf
Au 196.97 Au.upf
CELL_PARAMETERS angstrom
2.106 1.216 16.843
-2.106 1.216 16.843
0.000 -2.431 16.843
ATOMIC_POSITIONS angstrom
Tb 0.000 0.000 3.312
Tb 0.000 0.000 47.217
Al 0.000 0.000 9.249
Al 0.000 0.000 15.895
Al 0.000 0.000 22.632
Al 0.000 0.000 27.897
Al 0.000 0.000 34.634
Al 0.000 0.000 41.280
Si 0.000 0.000 11.826
Si 0.000 0.000 18.430
Si 0.000 0.000 32.099
Si 0.000 0.000 38.703
Au 0.000 0.000 25.264
```

- Calculated density: 5.064 g/cm³
- Symmetry: R-3m, No. 166
- Energy relative to the elements: -393.3 meV/atom

# 5
Density functional theory data (PBE) for an optimized crystal structure of Th2Al4Si2Au3. Values from VASP.

```
&SYSTEM
  ibrav = 0, nat = 11, ntyp = 4
/
ATOMIC_SPECIES
Th 232.04 Th.upf
Al 26.98 Al.upf
Si 28.09 Si.upf
Au 196.97 Au.upf
CELL_PARAMETERS angstrom
2.161 -11.879 0.000
2.161 11.879 0.000
0.000 0.000 4.287
ATOMIC_POSITIONS angstrom
Th 2.161 7.639 0.000
Th 2.161 -7.639 0.000
Al 2.161 10.383 2.143
Al 2.161 1.504 0.000
Al 2.161 -1.504 0.000
Al 2.161 -10.383 2.143
Si 2.161 5.390 2.143
Si 2.161 -5.390 2.143
Au 0.000 0.000 0.000
Au 2.161 2.927 2.143
Au 2.161 -2.927 2.143
```

- Spin magnetization: 0.017 μB/cell
- Calculated density: 9.197 g/cm³
- Symmetry: Cmmm, No. 65
- Energy relative to the elements: -674.3 meV/atom

# 6
Density functional theory data (PBE) for an optimized crystal structure of SmAl2Au2. Values from VASP.

```
&SYSTEM
  ibrav = 0, nat = 10, ntyp = 3
/
ATOMIC_SPECIES
Sm 150.36 Sm.upf
Al 26.98 Al.upf
Au 196.97 Au.upf
CELL_PARAMETERS angstrom
4.446 0.000 0.000
0.000 4.446 0.000
0.000 0.000 10.321
ATOMIC_POSITIONS angstrom
Sm 1.111 1.111 2.553
Sm 3.334 3.334 7.768
Al 1.111 1.111 8.980
Al 1.111 3.334 5.161
Al 3.334 1.111 5.161
Al 3.334 3.334 1.341
Au 1.111 1.111 6.493
Au 1.111 3.334 0.000
Au 3.334 1.111 0.000
Au 3.334 3.334 3.828
```

- Calculated density: 9.740 g/cm³
- Symmetry: P4/nmm, No. 129
- Energy relative to the elements: -737.9 meV/atom

# 7
Density functional theory data (PBE) for an optimized crystal structure of SmAl7Au3. Values from VASP.

```
&SYSTEM
  ibrav = 0, nat = 22, ntyp = 3
/
ATOMIC_SPECIES
Sm 150.36 Sm.upf
Al 26.98 Al.upf
Au 196.97 Au.upf
CELL_PARAMETERS angstrom
4.069 2.349 7.072
-4.069 2.349 7.072
0.000 -4.698 7.072
ATOMIC_POSITIONS angstrom
Sm 0.000 0.000 0.000
Sm 0.000 0.000 10.607
Al -3.187 -0.971 11.244
Al -0.752 -3.246 9.971
Al -0.752 -1.452 7.708
Al 0.000 0.000 5.304
Al -2.435 2.274 9.971
Al -0.882 1.378 7.708
Al -1.634 -0.075 13.507
Al 1.634 0.075 7.708
Al 0.882 -1.378 13.507
Al 2.435 -2.274 11.244
Al 0.000 0.000 15.911
Al 0.752 1.452 13.507
Al 0.752 3.246 11.244
Al 3.187 0.971 9.971
Au -2.759 -0.080 8.839
Au -1.310 -2.429 12.375
Au 1.448 -2.349 8.839
Au -1.448 2.349 12.375
Au 1.310 2.429 8.839
Au 2.759 0.080 12.375
```

- Calculated density: 7.617 g/cm³
- Symmetry: R-3c, No. 167
- Energy relative to the elements: -520.2 meV/atom

# 8
Density functional theory data (PBE) for an optimized crystal structure of SmAlAu. Values from VASP.

```
&SYSTEM
  ibrav = 0, nat = 12, ntyp = 3
/
ATOMIC_SPECIES
Sm 150.36 Sm.upf
Al 26.98 Al.upf
Au 196.97 Au.upf
CELL_PARAMETERS angstrom
7.425 0.000 0.000
0.000 4.570 0.000
0.000 0.000 7.781
ATOMIC_POSITIONS angstrom
Sm 0.057 1.142 1.527
Sm 3.655 3.427 5.417
Sm 3.770 1.142 2.364
Sm 7.367 3.427 6.254
Al 1.272 1.142 4.520
Al 2.441 3.427 0.629
Al 4.984 1.142 7.152
Al 6.153 3.427 3.261
Au 1.533 3.427 3.181
Au 2.179 1.142 7.072
Au 5.246 3.427 0.709
Au 5.891 1.142 4.600
```

- Calculated density: 9.417 g/cm³
- Symmetry: Pnma, No. 62
- Energy relative to the elements: -763.6 meV/atom